The following is a PBE calculation of Ca3Er2Sn3S12 after structural relaxation, from the Materials Project database.

Cell lengths 3.903, 11.555, 11.555 Å; angles 120.52, 90.00, 90.00 degrees
Fractional positions:
Ca 0.000 0.000 0.000
Ca 0.000 0.621 0.953
Ca 0.000 0.953 0.621
Er 0.000 0.282 0.568
Er 0.000 0.568 0.282
Sn 0.500 0.280 0.954
Sn 0.500 0.611 0.611
Sn 0.500 0.954 0.280
S 0.000 0.112 0.291
S 0.000 0.286 0.809
S 0.000 0.291 0.112
S 0.000 0.456 0.456
S 0.000 0.755 0.755
S 0.000 0.809 0.286
S 0.500 0.029 0.833
S 0.500 0.097 0.537
S 0.500 0.468 0.721
S 0.500 0.537 0.097
S 0.500 0.721 0.468
S 0.500 0.833 0.029

Calculated values
As for the crystal system: orthorhombic. The energy comes out at -5.15 eV per atom. Its theoretical density is 4.4 g cm⁻³.